Here is an optimized crystal structure of Li2MnCo3O8 from the Materials Project. Energies are from PBE+U.

```
Li2MnCo3O8
1.0
-1.6328 -1.9593 -5.1077
3.4936 -3.4426 -3.0814
-4.8177 -2.3221 2.5600
O Co Li Mn
8 3 2 1
Direct
0.7196 0.5390 0.8039 O
0.2487 0.5306 0.7870 O
0.2757 0.9602 0.2007 O
0.2804 0.4610 0.1961 O
0.7243 0.0397 0.7993 O
0.7513 0.4694 0.2130 O
0.7564 0.9910 0.2153 O
0.2435 0.0091 0.7847 O
0.5000 0.0000 0.0000 Co
0.0000 0.5000 0.0000 Co
0.5000 0.5000 0.0000 Co
0.5000 0.5000 0.5000 Li
0.5000 0.0000 0.5000 Li
0.0000 0.0000 0.0000 Mn
```

Values from the calculation:
VASP energy (eV per atom): -6.033
Energy relative to the elements (eV/atom): -1.618
Magnetic moment (μB per atom): 0.29
Excess energy over the best structure of this formula in the dataset (meV per atom): 61.1